{
  "formula": "Mn2SbTe",
  "functional": "PBE-GGA",
  "state": "optimized geometry",
  "formation_energy_ev_per_atom": -0.153,
  "lattice_angstrom": [[2.079, -3.601, 0.000], [2.079, 3.601, 0.000], [0.000, 0.000, 5.708]],
  "species": ["Mn", "Mn", "Te", "Sb"],
  "frac_coords": [[0.000, 0.000, 0.258], [0.000, 0.000, 0.742], [0.333, 0.667, 0.000], [0.667, 0.333, 0.500]]
}

{
  "formula": "WBr4",
  "functional": "PBE-GGA",
  "state": "optimized geometry",
  "formation_energy_ev_per_atom": -0.898,
  "lattice_angstrom": [[1.901, -0.431, -6.604], [6.331, 3.728, -2.011], [5.455, -5.379, -1.668]],
  "species": ["Br", "Br", "Br", "Br", "Br", "Br", "Br", "Br", "W", "W"],
  "frac_coords": [[0.298, 0.234, 0.171], [0.760, 0.242, 0.711], [0.702, 0.766, 0.829], [0.713, 0.758, 0.289], [0.240, 0.758, 0.289], [0.833, 0.192, 0.142], [0.287, 0.242, 0.711], [0.167, 0.808, 0.858], [0.699, 0.000, 0.000], [0.301, 0.000, 0.000]]
}

{
  "formula": "Li2Se",
  "functional": "PBE-GGA",
  "state": "optimized geometry",
  "formation_energy_ev_per_atom": -1.418,
  "lattice_angstrom": [[0.204, -0.488, 4.224], [3.763, -0.615, 1.892], [1.693, 3.067, 2.418]],
  "species": ["Se", "Li", "Li"],
  "frac_coords": [[0.000, 0.000, 0.000], [0.250, 0.250, 0.250], [0.750, 0.750, 0.750]]
}

{
  "formula": "HXe2F15",
  "functional": "PBE-GGA",
  "state": "optimized geometry",
  "formation_energy_ev_per_atom": -0.773,
  "lattice_angstrom": [[-4.062, 4.612, -2.279], [-3.554, -6.966, -7.760], [-11.286, -5.116, 9.762]],
  "species": ["F", "F", "F", "F", "F", "F", "F", "F", "F", "F", "F", "F", "F", "F", "F", "F", "F", "F", "F", "F", "F", "F", "F", "F", "F", "F", "F", "F", "F", "F", "F", "F", "F", "F", "F", "F", "F", "F", "F", "F", "F", "F", "F", "F", "F", "F", "F", "F", "F", "F", "F", "F", "F", "F", "F", "F", "F", "F", "F", "F", "Xe", "Xe", "Xe", "Xe", "Xe", "Xe", "Xe", "Xe", "H", "H", "H", "H"],
  "frac_coords": [[0.558, 0.933, 0.035], [0.628, 0.613, 0.535], [0.499, 0.912, 0.224], [0.683, 0.494, 0.793], [0.886, 0.249, 0.891], [0.958, 0.712, 0.930], [0.271, 0.114, 0.640], [0.213, 0.053, 0.483], [0.213, 0.553, 0.017], [0.128, 0.387, 0.465], [0.412, 0.059, 0.814], [0.771, 0.886, 0.360], [0.950, 0.700, 0.125], [0.666, 0.726, 0.769], [0.666, 0.226, 0.731], [0.551, 0.691, 0.961], [0.912, 0.441, 0.314], [0.097, 0.845, 0.671], [0.258, 0.572, 0.362], [0.258, 0.072, 0.138], [0.386, 0.251, 0.391], [0.058, 0.067, 0.965], [0.912, 0.941, 0.186], [0.183, 0.006, 0.293], [0.051, 0.309, 0.039], [0.713, 0.947, 0.517], [0.166, 0.274, 0.231], [0.058, 0.567, 0.535], [0.950, 0.200, 0.375], [0.412, 0.559, 0.686], [0.597, 0.655, 0.171], [0.771, 0.386, 0.140], [0.551, 0.191, 0.539], [0.450, 0.300, 0.875], [0.290, 0.847, 0.878], [0.999, 0.588, 0.724], [0.558, 0.433, 0.465], [0.683, 0.994, 0.707], [0.051, 0.809, 0.461], [0.499, 0.412, 0.276], [0.628, 0.113, 0.965], [0.597, 0.155, 0.329], [0.097, 0.345, 0.829], [0.758, 0.428, 0.638], [0.958, 0.212, 0.570], [0.758, 0.928, 0.862], [0.790, 0.153, 0.122], [0.999, 0.088, 0.776], [0.183, 0.506, 0.207], [0.713, 0.447, 0.983], [0.386, 0.751, 0.109], [0.128, 0.887, 0.035], [0.450, 0.800, 0.625], [0.790, 0.653, 0.378], [0.290, 0.347, 0.622], [0.166, 0.774, 0.269], [0.458, 0.788, 0.430], [0.271, 0.614, 0.860], [0.886, 0.749, 0.609], [0.458, 0.288, 0.070], [0.210, 0.909, 0.188], [0.750, 0.284, 0.037], [0.710, 0.091, 0.812], [0.250, 0.216, 0.537], [0.210, 0.409, 0.312], [0.250, 0.716, 0.963], [0.710, 0.591, 0.688], [0.750, 0.784, 0.463], [0.304, 0.311, 0.861], [0.304, 0.811, 0.639], [0.804, 0.189, 0.361], [0.804, 0.689, 0.139]]
}

{
  "formula": "K2YTlBr6",
  "functional": "PBE-GGA",
  "state": "optimized geometry",
  "formation_energy_ev_per_atom": -1.902,
  "lattice_angstrom": [[1.489, -7.160, -4.234], [-4.170, -7.061, 2.040], [-5.859, -3.109, -5.235]],
  "species": ["Br", "Br", "Br", "Br", "Br", "Br", "Y", "K", "K", "Tl"],
  "frac_coords": [[0.234, 0.234, 0.766], [0.766, 0.234, 0.766], [0.234, 0.766, 0.234], [0.234, 0.766, 0.766], [0.766, 0.234, 0.234], [0.766, 0.766, 0.234], [0.000, 0.000, 0.000], [0.750, 0.750, 0.750], [0.250, 0.250, 0.250], [0.500, 0.500, 0.500]]
}

{
  "formula": "SmBC",
  "functional": "PBE-GGA",
  "state": "optimized geometry",
  "formation_energy_ev_per_atom": -0.403,
  "lattice_angstrom": [[8.296, 0.000, 0.000], [0.000, 8.327, 0.000], [0.000, 0.000, 12.266]],
  "species": ["B", "B", "B", "B", "B", "B", "B", "B", "B", "B", "B", "B", "B", "B", "B", "B", "B", "B", "B", "B", "Sm", "Sm", "Sm", "Sm", "Sm", "Sm", "Sm", "Sm", "Sm", "Sm", "Sm", "Sm", "Sm", "Sm", "Sm", "Sm", "Sm", "Sm", "Sm", "Sm", "C", "C", "C", "C", "C", "C", "C", "C", "C", "C", "C", "C", "C", "C", "C", "C", "C", "C", "C", "C"],
  "frac_coords": [[0.816, 0.195, 0.491], [0.562, 0.796, 0.320], [0.062, 0.704, 0.680], [0.316, 0.305, 0.509], [0.404, 0.976, 0.761], [0.382, 0.401, 0.287], [0.018, 0.111, 0.041], [0.618, 0.901, 0.213], [0.982, 0.611, 0.459], [0.938, 0.204, 0.820], [0.904, 0.524, 0.239], [0.096, 0.024, 0.261], [0.438, 0.296, 0.180], [0.518, 0.389, 0.959], [0.684, 0.805, 0.991], [0.482, 0.889, 0.541], [0.596, 0.476, 0.739], [0.882, 0.099, 0.713], [0.184, 0.695, 0.009], [0.118, 0.599, 0.787], [0.246, 0.712, 0.325], [0.754, 0.212, 0.175], [0.939, 0.804, 0.133], [0.439, 0.696, 0.867], [0.159, 0.008, 0.578], [0.842, 0.909, 0.403], [0.950, 0.402, 0.641], [0.561, 0.196, 0.633], [0.659, 0.492, 0.422], [0.841, 0.508, 0.922], [0.341, 0.992, 0.078], [0.158, 0.409, 0.097], [0.050, 0.902, 0.859], [0.061, 0.304, 0.367], [0.746, 0.788, 0.675], [0.342, 0.591, 0.597], [0.658, 0.091, 0.903], [0.254, 0.288, 0.825], [0.550, 0.598, 0.141], [0.450, 0.098, 0.359], [0.354, 0.995, 0.875], [0.146, 0.005, 0.375], [0.854, 0.101, 0.592], [0.246, 0.703, 0.121], [0.056, 0.113, 0.159], [0.754, 0.203, 0.379], [0.475, 0.304, 0.062], [0.556, 0.387, 0.841], [0.146, 0.601, 0.908], [0.354, 0.399, 0.408], [0.525, 0.804, 0.438], [0.854, 0.505, 0.125], [0.444, 0.887, 0.659], [0.646, 0.495, 0.625], [0.025, 0.696, 0.562], [0.254, 0.297, 0.621], [0.975, 0.196, 0.938], [0.746, 0.797, 0.879], [0.944, 0.613, 0.341], [0.646, 0.899, 0.092]]
}

{
  "formula": "K5Li2EuF10",
  "functional": "PBE-GGA",
  "state": "optimized geometry",
  "formation_energy_ev_per_atom": -3.201,
  "lattice_angstrom": [[7.011, 0.000, 0.000], [0.000, 7.829, 0.000], [0.000, 0.000, 21.005]],
  "species": ["F", "F", "F", "F", "F", "F", "F", "F", "F", "F", "F", "F", "F", "F", "F", "F", "F", "F", "F", "F", "F", "F", "F", "F", "F", "F", "F", "F", "F", "F", "F", "F", "F", "F", "F", "F", "F", "F", "F", "F", "Eu", "Eu", "Eu", "Eu", "K", "K", "K", "K", "K", "K", "K", "K", "K", "K", "K", "K", "K", "K", "K", "K", "K", "K", "K", "K", "Li", "Li", "Li", "Li", "Li", "Li", "Li", "Li"],
  "frac_coords": [[0.792, 0.250, 0.241], [0.691, 0.750, 0.716], [0.894, 0.250, 0.869], [0.191, 0.250, 0.784], [0.551, 0.750, 0.020], [0.606, 0.250, 0.369], [0.811, 0.750, 0.873], [0.657, 0.461, 0.590], [0.809, 0.750, 0.216], [0.657, 0.039, 0.590], [0.708, 0.250, 0.741], [0.999, 0.575, 0.647], [0.343, 0.539, 0.410], [0.499, 0.425, 0.853], [0.843, 0.039, 0.090], [0.001, 0.425, 0.353], [0.343, 0.961, 0.410], [0.949, 0.750, 0.520], [0.501, 0.925, 0.147], [0.046, 0.250, 0.991], [0.189, 0.250, 0.127], [0.999, 0.925, 0.647], [0.106, 0.750, 0.131], [0.501, 0.575, 0.147], [0.157, 0.961, 0.910], [0.954, 0.750, 0.009], [0.546, 0.750, 0.509], [0.449, 0.250, 0.980], [0.309, 0.250, 0.284], [0.689, 0.750, 0.373], [0.051, 0.250, 0.480], [0.157, 0.539, 0.910], [0.454, 0.250, 0.491], [0.208, 0.750, 0.759], [0.499, 0.075, 0.853], [0.001, 0.075, 0.353], [0.311, 0.250, 0.627], [0.843, 0.461, 0.090], [0.394, 0.750, 0.631], [0.292, 0.750, 0.259], [0.241, 0.250, 0.893], [0.259, 0.250, 0.393], [0.759, 0.750, 0.107], [0.741, 0.750, 0.607], [0.928, 0.974, 0.783], [0.252, 0.522, 0.543], [0.565, 0.250, 0.140], [0.252, 0.978, 0.543], [0.752, 0.022, 0.957], [0.072, 0.026, 0.217], [0.065, 0.750, 0.360], [0.428, 0.474, 0.717], [0.572, 0.974, 0.283], [0.248, 0.978, 0.043], [0.248, 0.522, 0.043], [0.935, 0.250, 0.640], [0.748, 0.478, 0.457], [0.928, 0.526, 0.783], [0.428, 0.026, 0.717], [0.572, 0.526, 0.283], [0.435, 0.750, 0.860], [0.748, 0.022, 0.457], [0.752, 0.478, 0.957], [0.072, 0.474, 0.217], [0.530, 0.250, 0.577], [0.030, 0.750, 0.923], [0.843, 0.250, 0.328], [0.470, 0.750, 0.423], [0.343, 0.750, 0.172], [0.157, 0.750, 0.672], [0.657, 0.250, 0.828], [0.970, 0.250, 0.077]]
}

{
  "formula": "Mg6SiCO8",
  "functional": "PBE-GGA",
  "state": "optimized geometry",
  "formation_energy_ev_per_atom": -2.262,
  "polymorph_energy_mev_per_atom": 0,
  "lattice_angstrom": [[-8.697, 1.009, 1.640], [0.641, -0.955, 3.990], [0.628, 4.013, 0.859]],
  "species": ["O", "O", "O", "O", "O", "O", "O", "O", "Mg", "Mg", "Mg", "Mg", "Mg", "Mg", "C", "Si"],
  "frac_coords": [[0.000, 0.500, 0.000], [0.000, 0.000, 0.500], [0.811, 0.000, 0.000], [0.500, 0.000, 0.500], [0.500, 0.500, 0.000], [0.189, 0.000, 0.000], [0.748, 0.500, 0.500], [0.252, 0.500, 0.500], [0.730, 0.500, 0.000], [0.000, 0.500, 0.500], [0.270, 0.500, 0.000], [0.730, 0.000, 0.500], [0.500, 0.500, 0.500], [0.270, 0.000, 0.500], [0.500, 0.000, 0.000], [0.000, 0.000, 0.000]]
}

{
  "formula": "Pr2Ir2O7",
  "functional": "PBE-GGA",
  "state": "optimized geometry",
  "formation_energy_ev_per_atom": -2.407,
  "lattice_angstrom": [[0.000, 5.258, 5.258], [5.258, 0.000, 5.258], [5.258, 5.258, 0.000]],
  "species": ["O", "O", "O", "O", "O", "O", "O", "O", "O", "O", "O", "O", "O", "O", "Ir", "Ir", "Ir", "Ir", "Pr", "Pr", "Pr", "Pr"],
  "frac_coords": [[0.706, 0.294, 0.294], [0.956, 0.544, 0.544], [0.544, 0.544, 0.956], [0.706, 0.294, 0.706], [0.544, 0.956, 0.544], [0.294, 0.706, 0.294], [0.544, 0.956, 0.956], [0.294, 0.706, 0.706], [0.956, 0.544, 0.956], [0.706, 0.706, 0.294], [0.250, 0.250, 0.250], [0.000, 0.000, 0.000], [0.294, 0.294, 0.706], [0.956, 0.956, 0.544], [0.625, 0.125, 0.625], [0.625, 0.625, 0.125], [0.125, 0.625, 0.625], [0.625, 0.625, 0.625], [0.125, 0.125, 0.625], [0.125, 0.125, 0.125], [0.125, 0.625, 0.125], [0.625, 0.125, 0.125]]
}

{
  "formula": "UCu5",
  "functional": "PBE-GGA",
  "state": "optimized geometry",
  "formation_energy_ev_per_atom": 0.102,
  "lattice_angstrom": [[0.000, 3.520, 3.520], [3.520, 0.000, 3.520], [3.520, 3.520, 0.000]],
  "species": ["Cu", "Cu", "Cu", "Cu", "Cu", "U"],
  "frac_coords": [[0.624, 0.624, 0.624], [0.624, 0.624, 0.129], [0.624, 0.129, 0.624], [0.250, 0.250, 0.250], [0.129, 0.624, 0.624], [0.000, 0.000, 0.000]]
}

{
  "formula": "Dy2Co3Si5",
  "functional": "PBE-GGA",
  "state": "optimized geometry",
  "formation_energy_ev_per_atom": -0.740,
  "polymorph_energy_mev_per_atom": 0,
  "lattice_angstrom": [[5.700, 5.374, 0.000], [-5.700, 5.374, 0.000], [0.000, 2.623, 4.812]],
  "species": ["Co", "Co", "Co", "Co", "Co", "Co", "Si", "Si", "Si", "Si", "Si", "Si", "Si", "Si", "Si", "Si", "Dy", "Dy", "Dy", "Dy"],
  "frac_coords": [[0.996, 0.004, 0.250], [0.461, 0.738, 0.874], [0.539, 0.262, 0.126], [0.738, 0.461, 0.374], [0.004, 0.996, 0.750], [0.262, 0.539, 0.626], [0.738, 0.937, 0.665], [0.937, 0.738, 0.165], [0.230, 0.770, 0.250], [0.489, 0.511, 0.250], [0.785, 0.215, 0.250], [0.215, 0.785, 0.750], [0.770, 0.230, 0.750], [0.063, 0.262, 0.835], [0.262, 0.063, 0.335], [0.511, 0.489, 0.750], [0.598, 0.869, 0.264], [0.402, 0.131, 0.736], [0.869, 0.598, 0.764], [0.131, 0.402, 0.236]]
}

{
  "formula": "Nd3SbO7",
  "functional": "PBE-GGA",
  "state": "optimized geometry",
  "formation_energy_ev_per_atom": -3.305,
  "polymorph_energy_mev_per_atom": 0,
  "lattice_angstrom": [[3.859, -5.471, 0.000], [3.859, 5.471, 0.000], [0.000, 0.000, 7.770]],
  "species": ["O", "O", "O", "O", "O", "O", "O", "O", "O", "O", "O", "O", "O", "O", "Nd", "Nd", "Nd", "Nd", "Nd", "Nd", "Sb", "Sb"],
  "frac_coords": [[0.314, 0.069, 0.527], [0.314, 0.069, 0.973], [0.635, 0.365, 0.750], [0.370, 0.630, 0.750], [0.938, 0.062, 0.750], [0.686, 0.931, 0.473], [0.931, 0.686, 0.527], [0.062, 0.938, 0.250], [0.686, 0.931, 0.027], [0.365, 0.635, 0.250], [0.069, 0.314, 0.027], [0.069, 0.314, 0.473], [0.931, 0.686, 0.973], [0.630, 0.370, 0.250], [0.500, 0.500, 0.500], [0.467, 0.001, 0.250], [0.533, 0.999, 0.750], [0.999, 0.533, 0.250], [0.001, 0.467, 0.750], [0.500, 0.500, 0.000], [0.000, 0.000, 0.000], [0.000, 0.000, 0.500]]
}